First-principles (PBE+U) data for a relaxed CsK2MoF6 crystal, as listed in the Materials Project.

The structure in CIF format:
```
data_CsK2MoF6
_chemical_formula_sum 'Cs1 K2 Mo1 F6'
_cell_length_a 6.8493
_cell_length_b 6.8493
_cell_length_c 6.8493
_cell_angle_alpha 60.00
_cell_angle_beta 60.00
_cell_angle_gamma 60.00
_symmetry_space_group_name_H-M 'P 1'
_symmetry_Int_Tables_number 1
_symmetry_space_group_name_Hall 'P 1'
loop_
_atom_site_label
_atom_site_fract_x
_atom_site_fract_y
_atom_site_fract_z
Cs1 0.5000 0.5000 0.5000
K1 0.2500 0.2500 0.2500
K2 0.7500 0.7500 0.7500
Mo1 0.0000 0.0000 0.0000
F1 0.2141 0.7859 0.2141
F2 0.7859 0.7859 0.2141
F3 0.7859 0.2141 0.7859
F4 0.7859 0.2141 0.2141
F5 0.2141 0.7859 0.7859
F6 0.2141 0.2141 0.7859
```

Computed properties:
ρ: 3077 kg/m³
magnetic moment: 0.2999 μB per atom
total energy: -4.79 eV per atom

First-principles (PBE+U) data for a relaxed Cs2MnO4 crystal, as listed in the Materials Project.

The structure in CIF format:
```
data_Cs2MnO4
_chemical_formula_sum 'Cs4 Mn2 O8'
_cell_length_a 6.3752
_cell_length_b 8.6704
_cell_length_c 6.6374
_cell_angle_alpha 90.04
_cell_angle_beta 61.20
_cell_angle_gamma 90.07
_symmetry_space_group_name_H-M 'P 1'
_symmetry_Int_Tables_number 1
_symmetry_space_group_name_Hall 'P 1'
loop_
_atom_site_label
_atom_site_fract_x
_atom_site_fract_y
_atom_site_fract_z
Cs1 0.9709 0.1156 0.0543
Cs2 0.0254 0.6165 0.9488
Cs3 0.3481 0.4129 0.3028
Cs4 0.6551 0.9149 0.6924
Mn1 0.3284 0.9011 0.3443
Mn2 0.6720 0.3987 0.6558
O1 0.8150 0.4113 0.3684
O2 0.1830 0.9129 0.6318
O3 0.3900 0.0740 0.2203
O4 0.6147 0.5746 0.7701
O5 0.8414 0.3058 0.7440
O6 0.5882 0.8113 0.2589
O7 0.4153 0.3039 0.7440
O8 0.1526 0.8076 0.2639
```

Computed properties:
ρ: 3974 kg/m³
magnetic moment: 0.1429 μB per atom
total energy: -5.46 eV per atom

First-principles (PBE+U) data for a relaxed Sr4CaMn2S2O6 crystal, as listed in the Materials Project.

The structure in CIF format:
```
data_Sr4CaMn2S2O6
_chemical_formula_sum 'Sr8 Ca2 Mn4 S4 O12'
_cell_length_a 3.9115
_cell_length_b 3.9111
_cell_length_c 34.0972
_cell_angle_alpha 90.00
_cell_angle_beta 90.00
_cell_angle_gamma 90.00
_symmetry_space_group_name_H-M 'P 1'
_symmetry_Int_Tables_number 1
_symmetry_space_group_name_Hall 'P 1'
loop_
_atom_site_label
_atom_site_fract_x
_atom_site_fract_y
_atom_site_fract_z
Sr1 0.7500 0.7500 0.1013
Sr2 0.7500 0.7500 0.6013
Sr3 0.2500 0.2500 0.3987
Sr4 0.2500 0.2500 0.8988
Sr5 0.7500 0.7500 0.2105
Sr6 0.7500 0.7500 0.7105
Sr7 0.2500 0.2500 0.2895
Sr8 0.2500 0.2500 0.7895
Ca1 0.2500 0.7500 0.0000
Ca2 0.2500 0.7500 0.5000
Mn1 0.2500 0.2500 0.6583
Mn2 0.7500 0.7500 0.8417
Mn3 0.2500 0.2500 0.1584
Mn4 0.7500 0.7500 0.3416
S1 0.2500 0.2500 0.0555
S2 0.2500 0.2500 0.5554
S3 0.7500 0.7500 0.4445
S4 0.7500 0.7500 0.9446
O1 0.7500 0.2500 0.1497
O2 0.7500 0.2500 0.6496
O3 0.7500 0.2500 0.3503
O4 0.7500 0.2500 0.8504
O5 0.2500 0.7500 0.1495
O6 0.2500 0.7500 0.6494
O7 0.2500 0.7500 0.3505
O8 0.2500 0.7500 0.8506
O9 0.2500 0.2500 0.2179
O10 0.2500 0.2500 0.7178
O11 0.7500 0.7500 0.2821
O12 0.7500 0.7500 0.7822
```

Computed properties:
ρ: 4206 kg/m³
magnetic moment: 0.0003 μB per atom
total energy: -6.32 eV per atom

First-principles (PBE+U) data for a relaxed Li4V5O9F crystal, as listed in the Materials Project.

The structure in CIF format:
```
data_Li4V5O9F
_chemical_formula_sum 'Li4 V5 O9 F1'
_cell_length_a 5.2261
_cell_length_b 5.2261
_cell_length_c 13.1278
_cell_angle_alpha 79.09
_cell_angle_beta 79.09
_cell_angle_gamma 33.48
_symmetry_space_group_name_H-M 'P 1'
_symmetry_Int_Tables_number 1
_symmetry_space_group_name_Hall 'P 1'
loop_
_atom_site_label
_atom_site_fract_x
_atom_site_fract_y
_atom_site_fract_z
Li1 0.7986 0.7986 0.3985
Li2 0.6038 0.6038 0.7998
Li3 0.2001 0.2001 0.5970
Li4 0.3965 0.3965 0.1941
V1 0.9012 0.9012 0.6986
V2 0.6860 0.6860 0.1050
V3 0.3216 0.3216 0.8982
V4 0.4980 0.4980 0.5007
V5 0.0953 0.0953 0.3040
O1 0.8580 0.8580 0.5527
O2 0.9473 0.9473 0.8441
O3 0.5399 0.5399 0.6486
O4 0.7334 0.7334 0.2513
O5 0.4556 0.4556 0.3556
O6 0.2640 0.2640 0.7553
O7 0.3109 0.3109 0.0494
O8 0.0512 0.0512 0.1601
O9 0.1374 0.1374 0.4513
F1 0.6675 0.6675 0.9408
```

Computed properties:
ρ: 3815 kg/m³
magnetic moment: 0.5263 μB per atom
total energy: -6.95 eV per atom

First-principles (PBE+U) data for a relaxed NaFeS2O14 crystal, as listed in the Materials Project.

The structure in CIF format:
```
data_NaFeS2O14
_chemical_formula_sum 'Na2 Fe2 S4 O28'
_cell_length_a 6.7808
_cell_length_b 6.7808
_cell_length_c 12.3783
_cell_angle_alpha 92.90
_cell_angle_beta 92.90
_cell_angle_gamma 105.65
_symmetry_space_group_name_H-M 'P 1'
_symmetry_Int_Tables_number 1
_symmetry_space_group_name_Hall 'P 1'
loop_
_atom_site_label
_atom_site_fract_x
_atom_site_fract_y
_atom_site_fract_z
Na1 0.9151 0.0849 0.2500
Na2 0.0849 0.9151 0.7500
Fe1 0.5000 0.5000 0.0000
Fe2 0.5000 0.5000 0.5000
S1 0.8896 0.5792 0.1688
S2 0.4208 0.1104 0.3312
S3 0.1104 0.4208 0.8312
S4 0.5792 0.8896 0.6688
O1 0.7254 0.4503 0.0806
O2 0.5497 0.2746 0.4194
O3 0.2746 0.5497 0.9194
O4 0.4503 0.7254 0.5806
O5 0.5879 0.3958 0.8825
O6 0.6042 0.4121 0.6175
O7 0.4121 0.6042 0.1175
O8 0.3958 0.5879 0.3825
O9 0.2699 0.1411 0.0322
O10 0.8589 0.7301 0.4678
O11 0.7301 0.8589 0.9678
O12 0.1411 0.2699 0.5322
O13 0.7991 0.7253 0.2270
O14 0.2747 0.2009 0.2730
O15 0.2009 0.2747 0.7730
O16 0.7253 0.7991 0.7270
O17 0.9393 0.4272 0.2360
O18 0.5728 0.0607 0.2640
O19 0.0607 0.5728 0.7640
O20 0.4272 0.9393 0.7360
O21 0.0657 0.6978 0.1125
O22 0.3022 0.9343 0.3875
O23 0.9343 0.3022 0.8875
O24 0.6978 0.0657 0.6125
O25 0.0036 0.7291 0.5316
O26 0.2709 0.9964 0.9684
O27 0.9964 0.2709 0.4684
O28 0.7291 0.0036 0.0316
```

Computed properties:
ρ: 2232 kg/m³
magnetic moment: 0.3431 μB per atom
total energy: -5.33 eV per atom

First-principles (PBE+U) data for a relaxed PbWO4 crystal, as listed in the Materials Project.

The structure in CIF format:
```
data_PbWO4
_chemical_formula_sum 'Pb2 W2 O8'
_cell_length_a 6.9576
_cell_length_b 6.9576
_cell_length_c 5.1336
_cell_angle_alpha 71.14
_cell_angle_beta 71.14
_cell_angle_gamma 115.27
_symmetry_space_group_name_H-M 'P 1'
_symmetry_Int_Tables_number 1
_symmetry_space_group_name_Hall 'P 1'
loop_
_atom_site_label
_atom_site_fract_x
_atom_site_fract_y
_atom_site_fract_z
Pb1 0.8629 0.1371 0.2500
Pb2 0.1371 0.8629 0.7500
W1 0.4035 0.5965 0.2500
W2 0.5965 0.4035 0.7500
O1 0.4489 0.8486 0.3228
O2 0.3245 0.2593 0.1791
O3 0.6755 0.7407 0.8209
O4 0.1514 0.5511 0.1772
O5 0.2593 0.3245 0.6791
O6 0.5511 0.1514 0.6772
O7 0.8486 0.4489 0.8228
O8 0.7407 0.6755 0.3209
```

Computed properties:
ρ: 8437 kg/m³
magnetic moment: 0.0000 μB per atom
total energy: -6.87 eV per atom

First-principles (PBE+U) data for a relaxed LiFePHO5 crystal, as listed in the Materials Project.

The structure in CIF format:
```
data_LiFePHO5
_chemical_formula_sum 'Li2 Fe2 P2 H2 O10'
_cell_length_a 5.1661
_cell_length_b 5.4260
_cell_length_c 7.4155
_cell_angle_alpha 106.20
_cell_angle_beta 108.63
_cell_angle_gamma 98.17
_symmetry_space_group_name_H-M 'P 1'
_symmetry_Int_Tables_number 1
_symmetry_space_group_name_Hall 'P 1'
loop_
_atom_site_label
_atom_site_fract_x
_atom_site_fract_y
_atom_site_fract_z
Li1 0.7476 0.3975 0.8218
Li2 0.2524 0.6025 0.1782
Fe1 0.0000 0.0000 0.5000
Fe2 0.0000 0.0000 0.0000
P1 0.6774 0.3625 0.2335
P2 0.3226 0.6375 0.7665
H1 0.3561 0.0599 0.3364
H2 0.6439 0.9401 0.6636
O1 0.8414 0.0517 0.7258
O2 0.7299 0.2085 0.3828
O3 0.3089 0.3425 0.6603
O4 0.3692 0.2472 0.0739
O5 0.8862 0.3430 0.1207
O6 0.1138 0.6570 0.8793
O7 0.6308 0.7528 0.9261
O8 0.6911 0.6575 0.3397
O9 0.2701 0.7915 0.6172
O10 0.1586 0.9483 0.2742
```

Computed properties:
ρ: 3173 kg/m³
magnetic moment: 0.5555 μB per atom
total energy: -6.49 eV per atom

First-principles (PBE+U) data for a relaxed Na5VO4 crystal, as listed in the Materials Project.

The structure in CIF format:
```
data_Na5VO4
_chemical_formula_sum 'Na20 V4 O16'
_cell_length_a 7.3178
_cell_length_b 10.9367
_cell_length_c 7.5132
_cell_angle_alpha 90.00
_cell_angle_beta 90.00
_cell_angle_gamma 90.00
_symmetry_space_group_name_H-M 'P 1'
_symmetry_Int_Tables_number 1
_symmetry_space_group_name_Hall 'P 1'
loop_
_atom_site_label
_atom_site_fract_x
_atom_site_fract_y
_atom_site_fract_z
Na1 0.7500 0.0950 0.2500
Na2 0.7500 0.5950 0.2500
Na3 0.2500 0.4050 0.7500
Na4 0.2500 0.9050 0.7500
Na5 0.0110 0.3719 0.0565
Na6 0.0110 0.8719 0.0565
Na7 0.4890 0.3719 0.0565
Na8 0.4890 0.8719 0.0565
Na9 0.4890 0.3719 0.4435
Na10 0.4890 0.8719 0.4435
Na11 0.0110 0.3719 0.4435
Na12 0.0110 0.8719 0.4435
Na13 0.5110 0.1282 0.5565
Na14 0.5110 0.6281 0.5565
Na15 0.9890 0.1282 0.5565
Na16 0.9890 0.6281 0.5565
Na17 0.5110 0.1282 0.9435
Na18 0.5110 0.6281 0.9435
Na19 0.9890 0.1282 0.9435
Na20 0.9890 0.6281 0.9435
V1 0.2500 0.6101 0.2500
V2 0.7500 0.3899 0.7500
V3 0.2500 0.1101 0.2500
V4 0.7500 0.8899 0.7500
O1 0.2500 0.0139 0.0288
O2 0.2500 0.5139 0.0289
O3 0.2500 0.0139 0.4712
O4 0.2500 0.5139 0.4711
O5 0.7500 0.4862 0.5286
O6 0.7500 0.9861 0.5288
O7 0.7500 0.4862 0.9714
O8 0.7500 0.9861 0.9712
O9 0.4760 0.2045 0.2500
O10 0.4759 0.7045 0.2500
O11 0.0240 0.2045 0.2500
O12 0.0241 0.7045 0.2500
O13 0.5238 0.2954 0.7500
O14 0.5240 0.7955 0.7500
O15 0.9762 0.2954 0.7500
O16 0.9760 0.7955 0.7500
```

Computed properties:
ρ: 2539 kg/m³
magnetic moment: 0.2000 μB per atom
total energy: -4.90 eV per atom

Repeat the first record exactly.
First-principles (PBE+U) data for a relaxed CsK2MoF6 crystal, as listed in the Materials Project.

The structure in CIF format:
```
data_CsK2MoF6
_chemical_formula_sum 'Cs1 K2 Mo1 F6'
_cell_length_a 6.8493
_cell_length_b 6.8493
_cell_length_c 6.8493
_cell_angle_alpha 60.00
_cell_angle_beta 60.00
_cell_angle_gamma 60.00
_symmetry_space_group_name_H-M 'P 1'
_symmetry_Int_Tables_number 1
_symmetry_space_group_name_Hall 'P 1'
loop_
_atom_site_label
_atom_site_fract_x
_atom_site_fract_y
_atom_site_fract_z
Cs1 0.5000 0.5000 0.5000
K1 0.2500 0.2500 0.2500
K2 0.7500 0.7500 0.7500
Mo1 0.0000 0.0000 0.0000
F1 0.2141 0.7859 0.2141
F2 0.7859 0.7859 0.2141
F3 0.7859 0.2141 0.7859
F4 0.7859 0.2141 0.2141
F5 0.2141 0.7859 0.7859
F6 0.2141 0.2141 0.7859
```

Computed properties:
ρ: 3077 kg/m³
magnetic moment: 0.2999 μB per atom
total energy: -4.79 eV per atom

The lowest total energy belongs to which entry? Li4V5O9F

Which of these has the lowest total energy? Li4V5O9F